[1]
A geometry-optimized Ta2CrRu structure. Source: the Materials Project, functional GGA-PBE.

Summary:
ΔE_f   -0.278 eV/atom
E   -43.76 eV/cell

```
data_Ta2CrRu
_chemical_formula_sum 'Ta2 Cr1 Ru1'
_symmetry_space_group_name_H-M 'P 1'
_symmetry_Int_Tables_number 1
_symmetry_space_group_name_Hall 'P 1'
_cell_length_a 4.437
_cell_length_b 4.437
_cell_length_c 4.437
_cell_angle_alpha 60.00
_cell_angle_beta 60.00
_cell_angle_gamma 60.00
loop_
_atom_site_label
_atom_site_type_symbol
_atom_site_fract_x
_atom_site_fract_y
_atom_site_fract_z
Ta1 Ta 0.250 0.250 0.250
Ta2 Ta 0.750 0.750 0.750
Cr1 Cr 0.000 0.000 0.000
Ru1 Ru 0.500 0.500 0.500
```

[2]
A geometry-optimized U2PS structure. Source: the Materials Project, functional GGA-PBE.

Summary:
ΔE_f   -1.316 eV/atom
E   -73.79 eV/cell

```
data_U2PS
_chemical_formula_sum 'U4 P2 S2'
_symmetry_space_group_name_H-M 'P 1'
_symmetry_Int_Tables_number 1
_symmetry_space_group_name_Hall 'P 1'
_cell_length_a 6.750
_cell_length_b 6.750
_cell_length_c 6.750
_cell_angle_alpha 131.83
_cell_angle_beta 131.83
_cell_angle_gamma 70.50
loop_
_atom_site_label
_atom_site_type_symbol
_atom_site_fract_x
_atom_site_fract_y
_atom_site_fract_z
U1 U 0.125 0.375 0.750
U2 U 0.375 0.125 0.250
U3 U 0.625 0.875 0.750
U4 U 0.875 0.625 0.250
P1 P 0.375 0.625 0.750
P2 P 0.625 0.375 0.250
S1 S 0.125 0.875 0.250
S2 S 0.875 0.125 0.750
```

[3]
A geometry-optimized ZrTiAs structure. Source: the Materials Project, functional GGA-PBE.

Summary:
ΔE_f   -0.984 eV/atom
E   -48.11 eV/cell

```
data_ZrTiAs
_chemical_formula_sum 'Zr2 Ti2 As2'
_symmetry_space_group_name_H-M 'P 1'
_symmetry_Int_Tables_number 1
_symmetry_space_group_name_Hall 'P 1'
_cell_length_a 7.942
_cell_length_b 7.942
_cell_length_c 7.942
_cell_angle_alpha 152.39
_cell_angle_beta 152.39
_cell_angle_gamma 39.45
loop_
_atom_site_label
_atom_site_type_symbol
_atom_site_fract_x
_atom_site_fract_y
_atom_site_fract_z
Zr1 Zr 0.180 0.180 0.000
Zr2 Zr 0.820 0.820 0.000
Ti1 Ti 0.000 0.500 0.500
Ti2 Ti 0.500 0.000 0.500
As1 As 0.371 0.371 0.000
As2 As 0.629 0.629 0.000
```

[4]
A geometry-optimized Na6Nb8Si11SO48 structure. Source: the Materials Project, functional GGA-PBE.

Summary:
ΔE_f   -2.976 eV/atom
Magnetization   0.00 μB per formula unit
E   -1731.97 eV/cell

```
data_Na6Nb8Si11SO48
_chemical_formula_sum 'Na18 Nb24 Si33 S3 O144'
_symmetry_space_group_name_H-M 'P 1'
_symmetry_Int_Tables_number 1
_symmetry_space_group_name_Hall 'P 1'
_cell_length_a 8.962
_cell_length_b 15.513
_cell_length_c 22.932
_cell_angle_alpha 90.03
_cell_angle_beta 90.11
_cell_angle_gamma 90.12
loop_
_atom_site_label
_atom_site_type_symbol
_atom_site_fract_x
_atom_site_fract_y
_atom_site_fract_z
Na1 Na 0.000 0.000 0.000
Na2 Na 0.001 0.003 0.501
Na3 Na 0.002 0.331 0.835
Na4 Na 0.005 0.671 0.668
Na5 Na 0.012 0.666 0.166
Na6 Na 0.141 0.503 0.752
Na7 Na 0.185 0.850 0.417
Na8 Na 0.322 0.985 0.917
Na9 Na 0.325 0.318 0.251
Na10 Na 0.501 0.498 0.999
Na11 Na 0.503 0.499 0.500
Na12 Na 0.505 0.165 0.167
Na13 Na 0.506 0.834 0.332
Na14 Na 0.507 0.167 0.669
Na15 Na 0.508 0.831 0.834
Na16 Na 0.688 0.652 0.084
Na17 Na 0.820 0.818 0.251
Na18 Na 0.999 0.334 0.335
Nb1 Nb 0.000 0.004 0.355
Nb2 Nb 0.001 0.996 0.649
Nb3 Nb 0.002 0.342 0.477
Nb4 Nb 0.002 0.671 0.813
Nb5 Nb 0.003 0.666 0.313
Nb6 Nb 0.007 0.342 0.976
Nb7 Nb 0.008 0.340 0.190
Nb8 Nb 0.009 0.669 0.021
Nb9 Nb 0.010 0.997 0.148
Nb10 Nb 0.015 0.667 0.520
Nb11 Nb 0.494 0.841 0.692
Nb12 Nb 0.496 0.168 0.019
Nb13 Nb 0.499 0.835 0.187
Nb14 Nb 0.500 0.496 0.648
Nb15 Nb 0.502 0.499 0.146
Nb16 Nb 0.506 0.502 0.856
Nb17 Nb 0.506 0.842 0.478
Nb18 Nb 0.507 0.166 0.314
Nb19 Nb 0.507 0.168 0.813
Nb20 Nb 0.507 0.500 0.356
Nb21 Nb 0.509 0.833 0.980
Nb22 Nb 0.514 0.168 0.520
Nb23 Nb 0.993 0.337 0.690
Nb24 Nb 0.999 0.002 0.854
Si1 Si 0.148 0.145 0.250
Si2 Si 0.149 0.479 0.585
Si3 Si 0.149 0.813 0.917
Si4 Si 0.151 0.527 0.916
Si5 Si 0.153 0.857 0.253
Si6 Si 0.213 0.170 0.916
Si7 Si 0.215 0.835 0.584
Si8 Si 0.219 0.505 0.251
Si9 Si 0.288 0.005 0.751
Si10 Si 0.293 0.333 0.084
Si11 Si 0.298 0.666 0.416
Si12 Si 0.357 0.690 0.084
Si13 Si 0.358 0.027 0.418
Si14 Si 0.360 0.311 0.417
Si15 Si 0.361 0.354 0.752
Si16 Si 0.361 0.980 0.083
Si17 Si 0.363 0.646 0.751
Si18 Si 0.646 0.644 0.250
Si19 Si 0.648 0.312 0.918
Si20 Si 0.650 0.981 0.585
Si21 Si 0.651 0.025 0.918
Si22 Si 0.652 0.357 0.251
Si23 Si 0.714 0.335 0.583
Si24 Si 0.715 0.003 0.249
Si25 Si 0.717 0.668 0.918
Si26 Si 0.788 0.504 0.751
Si27 Si 0.795 0.837 0.084
Si28 Si 0.796 0.169 0.417
Si29 Si 0.858 0.527 0.418
Si30 Si 0.858 0.811 0.417
Si31 Si 0.858 0.855 0.751
Si32 Si 0.860 0.145 0.750
Si33 Si 0.860 0.479 0.083
S1 S 0.148 0.191 0.584
S2 S 0.648 0.691 0.584
S3 S 0.861 0.191 0.084
O1 O 0.067 0.764 0.258
O2 O 0.070 0.574 0.577
O3 O 0.070 0.901 0.195
O4 O 0.072 0.099 0.307
O5 O 0.072 0.766 0.974
O6 O 0.074 0.431 0.924
O7 O 0.074 0.567 0.858
O8 O 0.077 0.242 0.242
O9 O 0.077 0.432 0.642
O10 O 0.079 0.909 0.910
O11 O 0.080 0.104 0.590
O12 O 0.082 0.230 0.531
O13 O 0.107 0.253 0.927
O14 O 0.107 0.750 0.576
O15 O 0.109 0.587 0.258
O16 O 0.112 0.922 0.591
O17 O 0.117 0.080 0.911
O18 O 0.117 0.084 0.193
O19 O 0.117 0.416 0.243
O20 O 0.117 0.417 0.528
O21 O 0.117 0.585 0.974
O22 O 0.118 0.751 0.860
O23 O 0.120 0.916 0.310
O24 O 0.122 0.244 0.637
O25 O 0.177 0.680 0.078
O26 O 0.180 0.009 0.411
O27 O 0.180 0.320 0.427
O28 O 0.180 0.349 0.741
O29 O 0.180 0.991 0.092
O30 O 0.181 0.347 0.028
O31 O 0.181 0.652 0.757
O32 O 0.184 0.016 0.693
O33 O 0.185 0.687 0.361
O34 O 0.188 0.653 0.474
O35 O 0.189 0.319 0.142
O36 O 0.189 0.986 0.810
O37 O 0.313 0.182 0.578
O38 O 0.321 0.150 0.973
O39 O 0.322 0.516 0.193
O40 O 0.322 0.847 0.526
O41 O 0.323 0.184 0.860
O42 O 0.323 0.482 0.307
O43 O 0.325 0.820 0.640
O44 O 0.328 0.160 0.257
O45 O 0.329 0.825 0.924
O46 O 0.330 0.491 0.591
O47 O 0.330 0.513 0.910
O48 O 0.331 0.847 0.244
O49 O 0.384 0.420 0.807
O50 O 0.388 0.920 0.025
O51 O 0.389 0.253 0.359
O52 O 0.390 0.583 0.694
O53 O 0.392 0.085 0.475
O54 O 0.392 0.751 0.141
O55 O 0.395 0.755 0.427
O56 O 0.395 0.918 0.744
O57 O 0.396 0.419 0.091
O58 O 0.399 0.087 0.758
O59 O 0.399 0.581 0.410
O60 O 0.402 0.249 0.077
O61 O 0.431 0.929 0.425
O62 O 0.435 0.402 0.694
O63 O 0.435 0.407 0.410
O64 O 0.435 0.933 0.140
O65 O 0.436 0.264 0.474
O66 O 0.437 0.069 0.360
O67 O 0.437 0.260 0.757
O68 O 0.437 0.599 0.807
O69 O 0.439 0.075 0.077
O70 O 0.439 0.741 0.741
O71 O 0.440 0.736 0.028
O72 O 0.441 0.597 0.091
O73 O 0.568 0.069 0.861
O74 O 0.568 0.264 0.258
O75 O 0.569 0.402 0.194
O76 O 0.569 0.931 0.925
O77 O 0.570 0.074 0.577
O78 O 0.571 0.598 0.307
O79 O 0.573 0.265 0.975
O80 O 0.574 0.407 0.910
O81 O 0.575 0.930 0.640
O82 O 0.580 0.604 0.589
O83 O 0.580 0.743 0.244
O84 O 0.582 0.731 0.531
O85 O 0.607 0.250 0.577
O86 O 0.610 0.088 0.258
O87 O 0.611 0.583 0.910
O88 O 0.611 0.754 0.925
O89 O 0.612 0.422 0.591
O90 O 0.617 0.085 0.975
O91 O 0.617 0.918 0.528
O92 O 0.618 0.251 0.861
O93 O 0.618 0.914 0.243
O94 O 0.620 0.586 0.192
O95 O 0.621 0.418 0.308
O96 O 0.623 0.744 0.637
O97 O 0.678 0.821 0.426
O98 O 0.680 0.491 0.091
O99 O 0.680 0.514 0.411
O100 O 0.680 0.845 0.741
O101 O 0.681 0.155 0.758
O102 O 0.684 0.516 0.693
O103 O 0.685 0.485 0.808
O104 O 0.686 0.850 0.028
O105 O 0.687 0.184 0.360
O106 O 0.688 0.152 0.474
O107 O 0.690 0.818 0.142
O108 O 0.696 0.181 0.079
O109 O 0.813 0.682 0.577
O110 O 0.819 0.653 0.977
O111 O 0.824 0.320 0.640
O112 O 0.824 0.683 0.861
O113 O 0.824 0.984 0.306
O114 O 0.825 0.016 0.193
O115 O 0.827 0.347 0.527
O116 O 0.828 0.659 0.258
O117 O 0.829 0.320 0.927
O118 O 0.830 0.345 0.241
O119 O 0.831 0.014 0.911
O120 O 0.831 0.991 0.591
O121 O 0.888 0.244 0.137
O122 O 0.888 0.753 0.359
O123 O 0.890 0.918 0.807
O124 O 0.892 0.416 0.028
O125 O 0.892 0.586 0.475
O126 O 0.893 0.749 0.077
O127 O 0.894 0.084 0.693
O128 O 0.897 0.082 0.410
O129 O 0.899 0.923 0.091
O130 O 0.900 0.419 0.743
O131 O 0.902 0.253 0.427
O132 O 0.905 0.584 0.757
O133 O 0.927 0.230 0.031
O134 O 0.929 0.103 0.090
O135 O 0.931 0.575 0.078
O136 O 0.935 0.430 0.140
O137 O 0.935 0.431 0.424
O138 O 0.936 0.902 0.694
O139 O 0.937 0.570 0.361
O140 O 0.937 0.761 0.757
O141 O 0.938 0.100 0.807
O142 O 0.939 0.240 0.741
O143 O 0.940 0.766 0.474
O144 O 0.940 0.905 0.410
```

[5]
A geometry-optimized Mg2TiIrO6 structure. Source: the Materials Project, functional GGA-PBE.

Summary:
ΔE_f   -2.550 eV/atom
Magnetization   1.00 μB per formula unit
E   -142.00 eV/cell

```
data_Mg2TiIrO6
_chemical_formula_sum 'Mg4 Ti2 Ir2 O12'
_symmetry_space_group_name_H-M 'P 1'
_symmetry_Int_Tables_number 1
_symmetry_space_group_name_Hall 'P 1'
_cell_length_a 5.151
_cell_length_b 5.328
_cell_length_c 9.092
_cell_angle_alpha 90.00
_cell_angle_beta 124.16
_cell_angle_gamma 90.00
loop_
_atom_site_label
_atom_site_type_symbol
_atom_site_fract_x
_atom_site_fract_y
_atom_site_fract_z
Mg1 Mg 0.240 0.058 0.250
Mg2 Mg 0.240 0.442 0.750
Mg3 Mg 0.760 0.558 0.250
Mg4 Mg 0.760 0.942 0.750
Ti1 Ti 0.000 0.000 0.500
Ti2 Ti 0.000 0.500 0.000
Ir1 Ir 0.500 0.000 0.000
Ir2 Ir 0.500 0.500 0.500
O1 O 0.108 0.190 0.930
O2 O 0.108 0.310 0.430
O3 O 0.249 0.684 0.933
O4 O 0.249 0.816 0.433
O5 O 0.379 0.064 0.748
O6 O 0.379 0.436 0.248
O7 O 0.621 0.564 0.752
O8 O 0.621 0.936 0.252
O9 O 0.751 0.184 0.567
O10 O 0.751 0.316 0.067
O11 O 0.892 0.690 0.570
O12 O 0.892 0.810 0.070
```

V per entry: 15.4, 20.9, 17.9, 14.4, 10.3 Å³/atom